! PBE with a Hubbard U Ba2ErCoCu2O7, relaxed; values from VASP
&SYSTEM
  ibrav = 0, nat = 13, ntyp = 5
/
ATOMIC_SPECIES
Ba 137.33 Ba.upf
Er 167.26 Er.upf
Co 58.93 Co.upf
Cu 63.55 Cu.upf
O 16.00 O.upf
ATOMIC_POSITIONS angstrom
Ba 1.932 1.961 2.179
Ba 1.932 1.961 9.624
Er 1.932 1.961 5.902
Co 0.000 0.000 0.000
Cu 0.000 0.000 4.248
Cu 0.000 0.000 7.556
O 1.932 0.000 4.487
O 1.932 0.000 7.317
O 0.000 0.000 1.810
O 0.000 0.000 9.994
O 0.000 1.961 4.485
O 0.000 1.961 7.318
O 0.000 1.961 0.000
CELL_PARAMETERS angstrom
3.865 0.000 0.000
0.000 3.922 0.000
0.000 0.000 11.803
! V: 179 Å³/cell
! Formation energy from the elements: -2233 meV/atom



! PBE with a Hubbard U K2U2Cr2H2O17, relaxed; values from VASP
&SYSTEM
  ibrav = 0, nat = 100, ntyp = 5
/
ATOMIC_SPECIES
K 39.10 K.upf
U 238.03 U.upf
Cr 52.00 Cr.upf
H 1.01 H.upf
O 16.00 O.upf
ATOMIC_POSITIONS angstrom
K 1.705 -5.171 -8.352
K -3.479 -7.300 -4.726
K -5.352 -12.103 -0.117
K -0.168 -9.974 -3.742
K -0.100 -8.089 3.918
K -5.935 -13.677 -7.348
K -3.547 -9.186 -12.387
K 2.288 -3.598 -1.121
U -2.141 -11.685 3.008
U -3.031 -10.601 -7.157
U -1.506 -5.589 -11.477
U -0.616 -6.673 -1.312
U 2.307 -12.728 -1.509
U -5.612 -10.687 -4.194
U -5.954 -4.546 -6.960
U 1.965 -6.588 -4.274
Cr 3.738 -10.170 -3.929
Cr -5.195 -14.361 -3.312
Cr -7.385 -7.105 -4.540
Cr 1.548 -2.914 -5.157
Cr -1.857 -3.037 -1.072
Cr -3.800 -7.090 -8.775
Cr -1.790 -14.237 -7.397
Cr 0.153 -10.184 0.306
H 0.205 -7.810 -7.302
H -2.738 -4.203 -5.145
H -3.852 -9.464 -1.167
H -0.909 -13.071 -3.324
H 0.824 -8.356 -8.609
H -1.377 -4.853 -5.486
H -4.471 -8.918 0.140
H -2.270 -12.421 -2.983
O -3.685 -12.302 2.209
O -1.979 -9.688 -5.948
O 0.038 -4.972 -10.677
O -1.668 -7.586 -2.521
O -0.592 -11.136 3.801
O -4.037 -11.478 -8.401
O -3.055 -6.138 -12.269
O 0.390 -5.796 -0.068
O 1.019 -13.613 -2.484
O -4.267 -9.835 -3.266
O -4.666 -3.661 -5.985
O 0.620 -7.439 -5.203
O 3.526 -11.803 -0.505
O -7.000 -11.509 -5.056
O -7.173 -5.471 -7.964
O 3.353 -5.766 -3.412
O 2.520 -11.161 -3.286
O -5.099 -12.691 -3.021
O -6.167 -6.113 -5.183
O 1.452 -4.583 -5.448
O -2.491 -6.727 0.199
O -3.659 -14.969 -3.534
O -1.156 -10.547 -8.668
O 0.012 -2.305 -4.935
O 3.127 -8.613 -4.147
O -4.901 -3.859 -8.931
O -6.774 -8.662 -4.322
O 1.254 -13.415 0.462
O 5.004 -10.106 -2.930
O -6.076 -14.656 -4.631
O -8.651 -7.168 -5.539
O 2.429 -2.618 -3.837
O -1.808 -4.653 -1.526
O -2.485 -6.298 -9.456
O -1.839 -12.621 -6.943
O -1.162 -10.976 0.987
O 3.295 -6.648 -6.258
O -4.351 -6.258 -7.418
O -6.942 -10.626 -2.211
O 0.704 -11.017 -1.051
O -1.336 -2.083 -2.360
O -3.332 -8.641 -8.310
O -2.311 -15.191 -6.109
O -0.315 -8.633 -0.159
O -0.868 -2.827 0.191
O -4.972 -7.190 -9.886
O -2.779 -14.447 -8.660
O 1.325 -10.085 1.417
O -2.769 -9.522 2.825
O -4.135 -11.719 -5.532
O -0.878 -7.752 -11.293
O 0.488 -5.555 -2.937
O 3.280 -14.728 -1.019
O -4.861 -9.727 -6.119
O -6.927 -2.546 -7.450
O 1.214 -7.547 -2.350
O -7.192 -9.136 -7.696
O 4.274 -14.512 1.671
O 3.545 -8.138 -0.773
O -7.921 -2.763 -10.140
O -1.148 -3.588 -7.590
O -4.945 -6.275 -1.894
O -2.499 -13.686 -0.879
O 1.298 -10.999 -6.575
O 0.468 -7.547 -8.206
O -2.168 -4.970 -4.934
O -4.115 -9.728 -0.263
O -1.479 -12.304 -3.535
CELL_PARAMETERS angstrom
-9.356 -1.960 -9.819
6.723 -4.060 -5.596
-1.014 -11.254 6.946
! V: 1717 Å³/cell
! Formation energy from the elements: -2013 meV/atom



! PBE with a Hubbard U Li4TiV4Fe4O18, relaxed; values from VASP
&SYSTEM
  ibrav = 0, nat = 62, ntyp = 5
/
ATOMIC_SPECIES
Li 6.94 Li.upf
Ti 47.87 Ti.upf
V 50.94 V.upf
Fe 55.84 Fe.upf
O 16.00 O.upf
ATOMIC_POSITIONS angstrom
Li 0.000 8.437 25.401
Li 0.000 8.574 4.808
Li 0.000 0.416 17.612
Li 0.000 0.554 12.597
Li 0.000 3.988 13.194
Li 0.000 4.067 8.048
Li 0.000 4.924 20.852
Li 0.000 5.003 0.389
Ti 0.000 2.196 10.182
Ti 0.000 6.794 22.986
V 0.000 6.725 12.824
V 0.000 6.701 2.617
V 1.475 8.031 20.591
V 1.475 0.960 7.786
V 0.000 2.289 15.421
V 0.000 2.265 0.020
V 1.475 3.562 17.737
V 1.475 5.428 4.933
Fe 0.000 6.852 7.840
Fe 1.475 8.066 15.061
Fe 1.475 0.924 2.256
Fe 0.000 2.139 20.644
Fe 0.000 2.365 4.888
Fe 1.475 3.599 23.389
Fe 1.475 5.391 10.584
Fe 0.000 6.625 17.692
O 0.000 6.664 10.911
O 0.000 6.767 14.738
O 1.475 7.264 24.104
O 1.475 7.153 4.085
O 1.475 7.786 17.071
O 0.000 7.502 19.426
O 1.475 8.102 12.927
O 1.475 8.138 7.315
O 0.000 8.386 21.885
O 0.000 8.534 2.224
O 0.000 0.457 15.029
O 0.000 0.604 9.081
O 1.475 0.853 20.119
O 1.475 0.889 0.123
O 0.000 1.489 6.621
O 1.475 1.205 4.266
O 1.475 1.837 16.890
O 1.475 1.727 11.300
O 0.000 2.223 1.933
O 0.000 2.326 23.715
O 1.475 2.784 14.283
O 1.475 2.695 8.746
O 1.475 3.234 21.380
O 0.000 3.146 18.952
O 1.475 3.591 25.580
O 1.475 3.557 5.319
O 0.000 3.893 16.437
O 0.000 4.109 10.581
O 0.000 4.881 23.386
O 0.000 5.097 3.632
O 1.475 5.433 18.124
O 1.475 5.399 12.776
O 0.000 5.844 6.148
O 1.475 5.756 8.575
O 1.475 6.295 21.551
O 1.475 6.207 1.479
CELL_PARAMETERS angstrom
2.951 0.000 0.000
0.000 8.990 0.000
0.000 0.000 25.609
! V: 679 Å³/cell
! Formation energy from the elements: -2243 meV/atom